(1)
Compound: TaNbAl6
Source: Materials Project
Functional: PBE-GGA
Structure: optimized geometry

Calculated values
Formation energy from the elements = -290 kJ/mol of formula units
Space-group type = P4/mmm (123)

a = 3.8566 Å, b = 3.8566 Å, c = 8.5975 Å
α = 90.00°, β = 90.00°, γ = 90.00°
Positions (direct):
Ta: 0.0000 0.0000 0.0000
Nb: 0.5000 0.5000 0.5000
Al: 0.0000 0.0000 0.5000
Al: 0.0000 0.5000 0.2495
Al: 0.0000 0.5000 0.7505
Al: 0.5000 0.0000 0.2495
Al: 0.5000 0.0000 0.7505
Al: 0.5000 0.5000 0.0000

---

(2)
Compound: TaPCl10
Source: Materials Project
Functional: PBE-GGA
Structure: optimized geometry

Calculated values
Formation energy from the elements = -1759 kJ/mol of formula units
Space-group type = P-1 (2)

a = 7.3582 Å, b = 7.6136 Å, c = 14.1870 Å
α = 90.43°, β = 91.24°, γ = 106.42°
Positions (direct):
Ta: 0.0000 0.0000 0.0000
Ta: 0.0000 0.0000 0.5000
P: 0.3825 0.5915 0.2606
P: 0.6175 0.4085 0.7394
Cl: 0.0962 0.0041 0.1604
Cl: 0.1103 0.2670 0.5972
Cl: 0.1241 0.8288 0.6104
Cl: 0.1376 0.5208 0.1936
Cl: 0.2250 0.2888 0.9788
Cl: 0.2299 0.8488 0.9580
Cl: 0.2930 0.0778 0.4220
Cl: 0.3430 0.5892 0.3963
Cl: 0.4727 0.1649 0.7782
Cl: 0.4773 0.5836 0.7717
Cl: 0.5227 0.4164 0.2283
Cl: 0.5273 0.8351 0.2218
Cl: 0.6570 0.4108 0.6037
Cl: 0.7070 0.9222 0.5780
Cl: 0.7701 0.1512 0.0420
Cl: 0.7750 0.7112 0.0212
Cl: 0.8624 0.4792 0.8064
Cl: 0.8759 0.1712 0.3896
Cl: 0.8897 0.7330 0.4028
Cl: 0.9038 0.9959 0.8396

---

(3)
Compound: Sr2MgCuAg2S2O2
Source: Materials Project
Functional: PBE-GGA
Structure: optimized geometry

Calculated values
Formation energy from the elements = -1376 kJ/mol of formula units
Excess energy over the best structure of this formula in the dataset = 0.00 kJ/mol of atoms
Space-group type = Cm (8)

a = 3.9762 Å, b = 3.9762 Å, c = 12.2668 Å
α = 91.06°, β = 91.06°, γ = 89.97°
Positions (direct):
Sr: 0.0000 0.0000 0.0000
Sr: 0.0149 0.0149 0.2788
Mg: 0.4372 0.4372 0.5620
Cu: 0.5077 0.5077 0.1358
Ag: 0.4594 0.9624 0.7291
Ag: 0.9624 0.4594 0.7291
S: 0.4887 0.4887 0.8790
S: 0.5225 0.5225 0.3784
O: 0.0075 0.5086 0.1315
O: 0.5086 0.0075 0.1315

---

(4)
Compound: YP2O2
Source: Materials Project
Functional: PBE-GGA
Structure: optimized geometry

Calculated values
Formation energy from the elements = -787 kJ/mol of formula units
Space-group type = I4_1/amd (141)

a = 9.8744 Å, b = 9.8744 Å, c = 9.8744 Å
α = 114.75°, β = 114.75°, γ = 99.37°
Positions (direct):
Y: 0.0000 0.0000 0.0000
Y: 0.0000 0.0000 0.5000
Y: 0.0000 0.5000 0.0000
Y: 0.5000 0.0000 0.5000
P: 0.0905 0.7340 0.3564
P: 0.1224 0.2660 0.8564
P: 0.2660 0.1224 0.3564
P: 0.2660 0.9095 0.1436
P: 0.7340 0.0905 0.8564
P: 0.7340 0.8776 0.6436
P: 0.8776 0.7340 0.1436
P: 0.9095 0.2660 0.6436
O: 0.1022 0.1619 0.9403
O: 0.1619 0.1022 0.4403
O: 0.1619 0.7216 0.0597
O: 0.2784 0.8381 0.4403
O: 0.7216 0.1619 0.5597
O: 0.8381 0.2784 0.9403
O: 0.8381 0.8978 0.5597
O: 0.8978 0.8381 0.0597

---

(5)
Compound: ErSn3
Source: Materials Project
Functional: PBE-GGA
Structure: optimized geometry

Calculated values
Formation energy from the elements = -128 kJ/mol of formula units
Space-group type = Amm2 (38)

a = 4.4489 Å, b = 11.2565 Å, c = 11.2565 Å
α = 22.59°, β = 90.00°, γ = 90.00°
Positions (direct):
Er: 0.0000 0.0000 0.0000
Er: 0.5000 0.2673 0.2673
Sn: 0.0000 0.1488 0.1488
Sn: 0.0000 0.3865 0.3865
Sn: 0.0000 0.7621 0.7621
Sn: 0.5000 0.5129 0.5129
Sn: 0.5000 0.6493 0.6493
Sn: 0.5000 0.8846 0.8846

---

(6)
Compound: CsTc3Se4Br2
Source: Materials Project
Functional: PBE-GGA
Structure: optimized geometry

Calculated values
Formation energy from the elements = -900 kJ/mol of formula units
Space-group type = P2_1/c (14)

a = 6.6643 Å, b = 19.3568 Å, c = 10.3077 Å
α = 90.00°, β = 115.37°, γ = 90.00°
Positions (direct):
Cs: 0.0491 0.1901 0.0519
Cs: 0.0491 0.3099 0.5519
Cs: 0.9509 0.6901 0.4481
Cs: 0.9509 0.8099 0.9481
Tc: 0.1402 0.5785 0.1073
Tc: 0.1402 0.9215 0.6073
Tc: 0.1733 0.0582 0.6528
Tc: 0.1733 0.4418 0.1528
Tc: 0.2131 0.0047 0.4297
Tc: 0.2131 0.4953 0.9297
Tc: 0.7869 0.5047 0.0703
Tc: 0.7869 0.9953 0.5703
Tc: 0.8267 0.5582 0.8472
Tc: 0.8267 0.9418 0.3472
Tc: 0.8598 0.0785 0.3927
Tc: 0.8598 0.4215 0.8927
Se: 0.0980 0.5235 0.3173
Se: 0.0980 0.9765 0.8173
Se: 0.1734 0.6234 0.8881
Se: 0.1734 0.8766 0.3881
Se: 0.2362 0.1328 0.4738
Se: 0.2362 0.3672 0.9738
Se: 0.4910 0.0154 0.3067
Se: 0.4910 0.4846 0.8067
Se: 0.5090 0.5154 0.1933
Se: 0.5090 0.9846 0.6933
Se: 0.7638 0.6328 0.0262
Se: 0.7638 0.8672 0.5262
Se: 0.8266 0.1234 0.6119
Se: 0.8266 0.3766 0.1119
Se: 0.9020 0.0235 0.1827
Se: 0.9020 0.4765 0.6827
Br: 0.3149 0.6928 0.2465
Br: 0.3149 0.8072 0.7465
Br: 0.4008 0.1416 0.8623
Br: 0.4008 0.3584 0.3623
Br: 0.5992 0.6416 0.6377
Br: 0.5992 0.8584 0.1377
Br: 0.6851 0.1928 0.2535
Br: 0.6851 0.3072 0.7535